## Nd3CrS6 (r2SCAN)

Data for an optimized crystal structure of Nd3CrS6.

Computed properties:
calculated formation energy: -196.6 kJ/mol of atoms

Geometry as POSCAR:
```
Nd3CrS6
1.0
1.3488 -1.8141 3.1688
-11.9244 2.2041 6.3374
-5.6417 -14.1442 -5.6961
S Cr Nd
24 4 12
Direct
0.5000 0.6760 0.9805 S
0.5000 0.6010 0.7452 S
0.0000 0.4765 0.9045 S
0.0000 0.1760 0.5195 S
0.5000 0.0792 0.9276 S
0.0000 0.8240 0.4805 S
0.0000 0.8990 0.2452 S
0.5000 0.6223 0.3978 S
0.5000 0.6889 0.2106 S
0.0000 0.1010 0.7548 S
0.0000 0.5792 0.5724 S
0.0000 0.1889 0.2894 S
0.0000 0.5235 0.0955 S
0.5000 0.3111 0.7894 S
0.0000 0.8111 0.7106 S
0.5000 0.3240 0.0195 S
0.0000 0.8777 0.8978 S
0.5000 0.0235 0.4045 S
0.0000 0.4208 0.4276 S
0.0000 0.1223 0.1022 S
0.5000 0.3777 0.6022 S
0.5000 0.3990 0.2548 S
0.5000 0.9208 0.0724 S
0.5000 0.9765 0.5955 S
0.0000 0.0000 0.5000 Cr
0.5000 0.5000 0.5000 Cr
0.5000 0.5000 0.0000 Cr
0.0000 0.0000 0.0000 Cr
0.5000 0.8203 0.3520 Nd
0.5000 0.0522 0.2182 Nd
0.0000 0.3203 0.1480 Nd
0.0000 0.6797 0.8520 Nd
0.0000 0.5522 0.2818 Nd
0.5000 0.9478 0.7818 Nd
0.5000 0.7410 0.5965 Nd
0.0000 0.7590 0.0965 Nd
0.5000 0.2590 0.4035 Nd
0.0000 0.4478 0.7182 Nd
0.5000 0.1797 0.6480 Nd
0.0000 0.2410 0.9035 Nd
```


## Tb3Pm (r2SCAN)

Data for an optimized crystal structure of Tb3Pm.

Computed properties:
calculated formation energy: 0.0 kJ/mol of atoms

Geometry as POSCAR:
```
Tb3Pm
1.0
-5.4869 4.5714 -1.5517
-1.0389 -5.4897 4.7113
1.6454 3.4710 4.4072
Tb Pm
6 2
Direct
0.6697 0.8348 0.2500 Tb
0.3303 0.1652 0.7500 Tb
0.1652 0.8348 0.2500 Tb
0.8348 0.1652 0.7500 Tb
0.1652 0.3303 0.2500 Tb
0.8348 0.6697 0.7500 Tb
0.6667 0.3333 0.2500 Pm
0.3333 0.6667 0.7500 Pm
```


## CrO2 (r2SCAN)

Data for an optimized crystal structure of CrO2.

Computed properties:
calculated formation energy: -207.6 kJ/mol of atoms

Geometry as POSCAR:
```
CrO2
1.0
-4.2659 0.0000 0.0001
0.0002 0.0000 -4.8797
0.0000 -5.3693 0.0000
Cr O
4 8
Direct
0.5000 0.2500 0.6456 Cr
0.5000 0.7500 0.3544 Cr
0.0000 0.7500 0.8544 Cr
0.0000 0.2500 0.1457 Cr
0.7353 0.5829 0.6171 O
0.7353 0.0829 0.3829 O
0.7646 0.5829 0.1172 O
0.2354 0.4171 0.8829 O
0.7646 0.0829 0.8829 O
0.2647 0.9171 0.6171 O
0.2647 0.4171 0.3829 O
0.2354 0.9171 0.1172 O
```


## SmH3O3 (r2SCAN)

Data for an optimized crystal structure of SmH3O3.

Computed properties:
calculated formation energy: -202.3 kJ/mol of atoms

Geometry as POSCAR:
```
SmH3O3
1.0
6.3517 0.0001 0.0000
-3.1759 5.5007 0.0000
0.0000 0.0000 3.6523
O Sm H
6 2 6
Direct
0.3925 0.3096 0.2500 O
0.0829 0.3925 0.7500 O
0.9171 0.6075 0.2500 O
0.6904 0.0829 0.2500 O
0.3096 0.9171 0.7500 O
0.6075 0.6904 0.7500 O
0.6667 0.3333 0.7500 Sm
0.3333 0.6667 0.2500 Sm
0.8624 0.7246 0.2500 H
0.1376 0.2754 0.7500 H
0.1377 0.8624 0.7500 H
0.2754 0.1377 0.2500 H
0.8623 0.1376 0.2500 H
0.7246 0.8623 0.7500 H
```


## Ta2Se3 (r2SCAN)

Data for an optimized crystal structure of Ta2Se3.

Computed properties:
calculated formation energy: -81.3 kJ/mol of atoms

Geometry as POSCAR:
```
Ta2Se3
1.0
3.4256 0.0000 0.0000
0.0000 6.4279 -1.5991
0.0000 -0.0781 9.2755
Se Ta
6 4
Direct
0.7500 0.2716 0.4881 Se
0.2500 0.7284 0.5119 Se
0.7500 0.4756 0.2050 Se
0.7500 0.0327 0.8423 Se
0.2500 0.5244 0.7950 Se
0.2500 0.9673 0.1577 Se
0.7500 0.6753 0.9990 Ta
0.7500 0.8869 0.3670 Ta
0.2500 0.3247 0.0010 Ta
0.2500 0.1131 0.6330 Ta
```


## NdCuNi4 (r2SCAN)

Data for an optimized crystal structure of NdCuNi4.

Computed properties:
calculated formation energy: -21.5 kJ/mol of atoms

Geometry as POSCAR:
```
NdCuNi4
1.0
2.4353 -4.3152 0.0000
2.4353 4.3152 0.0000
0.0000 0.0000 3.9547
Nd Ni Cu
1 4 1
Direct
0.5000 0.5000 0.0000 Nd
0.8238 0.1761 0.0000 Ni
0.1762 0.8239 0.0000 Ni
0.5000 0.0000 0.5000 Ni
0.0000 0.5000 0.5000 Ni
0.0000 0.0000 0.5000 Cu
```


## UNi5 (r2SCAN)

Data for an optimized crystal structure of UNi5.

Computed properties:
calculated formation energy: -21.1 kJ/mol of atoms

Geometry as POSCAR:
```
UNi5
1.0
4.0966 0.0000 2.3651
1.3655 3.8623 2.3651
-0.0001 -0.0001 4.7303
Ni U
5 1
Direct
0.6241 0.1277 0.6241 Ni
0.2500 0.2500 0.2500 Ni
0.6241 0.6241 0.1277 Ni
0.6241 0.6241 0.6241 Ni
0.1277 0.6241 0.6241 Ni
0.0000 0.0000 0.0000 U
```


## CeTh (r2SCAN)

Data for an optimized crystal structure of CeTh.

Computed properties:
calculated formation energy: 2.0 kJ/mol of atoms

Geometry as POSCAR:
```
CeTh
1.0
1.0984 5.8282 -0.5795
-1.8300 5.1641 -2.3439
-1.9273 5.5267 1.1186
Ce Th
1 1
Direct
0.0000 0.0000 0.0000 Ce
0.5000 0.5000 0.5000 Th
```